Below is a geometry-optimized RbReO2 structure, with properties calculated at the PBE level.

As for the total magnetization: 2.19 μB per formula unit. The calculation puts the energy of formation from the pure elements at -1048 meV/atom.

Cell: 6.579 6.579 13.285 Å, 90.00 90.00 90.00°
Space group I4_1/amd (No. 141, origin choice 2)
Unique sites:
Rb  0.000  0.000  0.000
Re  0.000  0.000  0.500
O  0.000  0.073  0.233